Here is a relaxed structure of HoErIr2 from the Materials Project database. Energies are from meta-GGA r2SCAN.

For the formation energy, the calculation gives -996 meV per atom. As for the total moment: 0.20 μB/f.u.

Unit cell a=4.785 b=4.785 c=4.785 alpha=60.00 beta=60.00 gamma=60.00
Element x y z (fractional)
Ho1 0.000 0.000 0.000
Er1 0.500 0.500 0.500
Ir1 0.250 0.250 0.250
Ir2 0.750 0.750 0.750

Here is a relaxed structure of HoErMg2 from the Materials Project database. Energies are from meta-GGA r2SCAN.

For the formation energy, the calculation gives -80 meV per atom. As for the total moment: 0.00 μB/f.u.

Unit cell a=5.326 b=5.326 c=5.326 alpha=60.00 beta=60.00 gamma=60.00
Element x y z (fractional)
Ho1 0.000 0.000 0.000
Er1 0.500 0.500 0.500
Mg1 0.250 0.250 0.250
Mg2 0.750 0.750 0.750

Here is a relaxed structure of HoErPd2 from the Materials Project database. Energies are from meta-GGA r2SCAN.

For the formation energy, the calculation gives -950 meV per atom. As for the total moment: 0.00 μB/f.u.

Unit cell a=4.896 b=4.896 c=4.896 alpha=60.00 beta=60.00 gamma=60.00
Element x y z (fractional)
Ho1 0.000 0.000 0.000
Er1 0.500 0.500 0.500
Pd1 0.250 0.250 0.250
Pd2 0.750 0.750 0.750

Here is a relaxed structure of HoErRu2 from the Materials Project database. Energies are from meta-GGA r2SCAN.

For the formation energy, the calculation gives -419 meV per atom. As for the total moment: 0.00 μB/f.u.

Unit cell a=4.743 b=4.743 c=4.748 alpha=119.99 beta=119.99 gamma=59.96
Element x y z (fractional)
Ho1 0.000 0.000 0.000
Er1 0.500 0.500 0.500
Ru1 0.250 0.250 0.750
Ru2 0.750 0.750 0.250

Here is a relaxed structure of HoErZn2 from the Materials Project database. Energies are from meta-GGA r2SCAN.

For the formation energy, the calculation gives -387 meV per atom. As for the total moment: 0.00 μB/f.u.

Unit cell a=4.983 b=4.983 c=4.983 alpha=60.00 beta=60.00 gamma=60.00
Element x y z (fractional)
Ho1 0.000 0.000 0.000
Er1 0.500 0.500 0.500
Zn1 0.250 0.250 0.250
Zn2 0.750 0.750 0.750

Here is a relaxed structure of ErI3 from the Materials Project database. Energies are from meta-GGA r2SCAN.

For the formation energy, the calculation gives -1522 meV per atom. As for the total moment: 0.00 μB/f.u.

Unit cell a=11.034 b=11.034 c=3.957 alpha=90.00 beta=90.00 gamma=120.00
Element x y z (fractional)
Er1 0.333 0.667 0.250
Er2 0.667 0.333 0.750
I1 0.213 0.427 0.750
I2 0.213 0.787 0.750
I3 0.427 0.213 0.250
I4 0.573 0.787 0.750
I5 0.787 0.213 0.250
I6 0.787 0.573 0.250

Here is a relaxed structure of Er7IrI12 from the Materials Project database. Energies are from meta-GGA r2SCAN.

For the formation energy, the calculation gives -1469 meV per atom. As for the total moment: 0.00 μB/f.u.

Unit cell a=9.661 b=9.661 c=9.661 alpha=106.90 beta=106.90 gamma=106.90
Element x y z (fractional)
Er1 0.000 0.000 0.000
Er2 0.205 0.477 0.406
Er3 0.406 0.205 0.477
Er4 0.477 0.406 0.205
Er5 0.523 0.594 0.795
Er6 0.594 0.795 0.523
Er7 0.795 0.523 0.594
Ir1 0.500 0.500 0.500
I1 0.034 0.111 0.337
I2 0.111 0.337 0.034
I3 0.175 0.570 0.726
I4 0.274 0.825 0.430
I5 0.337 0.034 0.111
I6 0.430 0.274 0.825
I7 0.570 0.726 0.175
I8 0.663 0.966 0.889
I9 0.726 0.175 0.570
I10 0.825 0.430 0.274
I11 0.889 0.663 0.966
I12 0.966 0.889 0.663

Here is a relaxed structure of Er5In3 from the Materials Project database. Energies are from meta-GGA r2SCAN.

For the formation energy, the calculation gives -492 meV per atom. As for the total moment: 0.47 μB/f.u.

Unit cell a=8.938 b=8.938 c=6.487 alpha=90.00 beta=90.00 gamma=120.00
Element x y z (fractional)
Er1 0.000 0.236 0.250
Er2 0.000 0.764 0.750
Er3 0.236 0.000 0.250
Er4 0.236 0.236 0.750
Er5 0.333 0.667 0.000
Er6 0.333 0.667 0.500
Er7 0.667 0.333 0.000
Er8 0.667 0.333 0.500
Er9 0.764 0.000 0.750
Er10 0.764 0.764 0.250
In1 0.000 0.401 0.750
In2 0.000 0.599 0.250
In3 0.401 0.000 0.750
In4 0.401 0.401 0.250
In5 0.599 0.000 0.250
In6 0.599 0.599 0.750